Computed, not measured: Sr3CrF12 after structural relaxation at the GGA+U level of DFT.

Structure (extended XYZ):
```
16
Lattice="3.840 -6.505 0.000 3.840 6.505 0.000 -3.058 0.000 6.204" Properties=species:S:1:pos:R:3 pbc="T T T"
Sr 0.000 0.000 0.000
Sr 0.391 3.252 3.102
Sr 0.391 -3.252 3.102
Cr -1.529 0.000 3.102
F -1.239 1.396 4.373
F -0.017 4.058 5.329
F 0.754 1.006 2.494
F -1.239 -1.396 4.373
F 0.754 -1.006 2.494
F 4.639 4.058 0.875
F -0.017 -4.058 5.329
F 3.869 1.006 3.709
F 5.861 1.396 1.831
F 3.869 -1.006 3.709
F 4.639 -4.058 0.875
F 5.861 -1.396 1.831
```

## Properties
Uncorrected energy, eV per formula unit: -74.76
E_form, eV/atom: -2.7876



Computed, not measured: SrCrF6 after structural relaxation at the GGA+U level of DFT.

Structure (extended XYZ):
```
8
Lattice="3.626 2.094 2.332 -3.626 2.094 2.332 0.000 -4.187 2.332" Properties=species:S:1:pos:R:3 pbc="T T T"
Sr 0.000 0.000 0.000
Cr 0.000 0.000 3.498
F 0.000 -1.489 2.375
F -1.289 0.744 2.375
F -1.289 -0.744 4.622
F 1.289 0.744 2.375
F 1.289 -0.744 4.622
F 0.000 1.489 4.622
```

## Properties
Uncorrected energy, eV per formula unit: -43.89
E_form, eV/atom: -3.2292



Computed, not measured: Sr5Cr3F19 after structural relaxation at the GGA+U level of DFT.

Structure (extended XYZ):
```
54
Lattice="8.727 0.000 0.000 3.201 9.683 0.000 3.242 0.138 9.682" Properties=species:S:1:pos:R:3 pbc="T T T"
Sr 0.000 0.000 0.000
Sr 3.442 5.222 5.079
Sr 4.309 5.311 1.162
Sr 7.428 8.343 5.122
Sr 7.108 3.645 6.657
Sr 5.699 1.886 2.802
Sr 7.656 8.337 0.882
Sr 11.637 9.490 6.592
Sr 11.434 4.024 9.307
Sr 9.685 1.835 3.397
Cr 5.168 7.000 8.149
Cr 3.377 1.777 6.210
Cr 3.094 1.802 0.044
Cr 9.114 6.312 7.648
Cr 7.883 5.275 2.809
Cr 10.799 8.063 3.239
F 4.670 5.244 8.612
F 2.646 7.199 0.238
F 2.233 0.384 5.310
F 4.470 2.308 9.371
F 5.140 6.548 6.236
F 4.520 3.353 6.594
F 2.861 2.332 1.886
F 4.287 0.422 7.221
F 4.566 4.094 3.269
F 5.653 9.678 0.457
F 7.146 6.631 7.898
F 6.743 3.753 9.283
F 4.728 1.367 4.916
F 6.526 6.590 3.228
F 7.504 9.384 2.973
F 9.241 6.894 9.536
F 6.922 1.444 7.899
F 4.919 1.270 0.526
F 9.432 8.080 6.913
F 8.458 5.712 5.946
F 7.325 3.997 4.180
F 8.916 4.526 8.381
F 6.653 4.271 1.615
F 10.207 9.672 4.162
F 9.142 6.923 3.641
F 8.475 1.951 5.571
F 8.384 6.090 1.142
F 9.950 8.800 1.640
F 10.886 5.633 7.259
F 12.077 7.753 8.441
F 7.905 1.753 1.533
F 9.320 4.067 2.408
F 11.599 7.652 4.980
F 10.920 2.085 7.749
F 11.119 3.029 5.036
F 12.375 9.054 2.661
F 11.602 6.332 2.800
F 14.096 8.856 7.675
```

## Properties
Uncorrected energy, eV per formula unit: -157.50
Energy above the most stable polymorph in this dataset, meV/atom: 48
E_form, eV/atom: -3.6479